Record 1
{
  "formula": "Hf3MgSiS5O24",
  "functional": "PBE",
  "state": "optimized geometry",
  "lattice_angstrom": [[8.891, 0.001, 0.009], [-4.444, 7.694, 0.016], [0.022, 0.060, 22.917]],
  "species": ["O", "O", "O", "O", "O", "O", "O", "O", "O", "O", "O", "O", "O", "O", "O", "O", "O", "O", "O", "O", "O", "O", "O", "O", "O", "O", "O", "O", "O", "O", "O", "O", "O", "O", "O", "O", "O", "O", "O", "O", "O", "O", "O", "O", "O", "O", "O", "O", "O", "O", "O", "O", "O", "O", "O", "O", "O", "O", "O", "O", "O", "O", "O", "O", "O", "O", "O", "O", "O", "O", "O", "O", "S", "S", "S", "S", "S", "S", "S", "S", "S", "S", "S", "S", "S", "S", "S", "Hf", "Hf", "Hf", "Hf", "Hf", "Hf", "Hf", "Hf", "Hf", "Mg", "Mg", "Mg", "Si", "Si", "Si"],
  "fractional_positions": [[0.972, 0.180, 0.303], [0.874, 0.508, 0.423], [0.518, 0.869, 0.076], [0.456, 0.304, 0.033], [0.306, 0.844, 0.260], [0.640, 0.126, 0.137], [0.156, 0.462, 0.260], [0.028, 0.823, 0.697], [0.179, 0.206, 0.697], [0.509, 0.868, 0.364], [0.030, 0.206, 0.198], [0.794, 0.824, 0.198], [0.153, 0.693, 0.468], [0.204, 0.178, 0.801], [0.305, 0.461, 0.468], [0.632, 0.496, 0.641], [0.697, 0.533, 0.526], [0.640, 0.514, 0.927], [0.463, 0.152, 0.240], [0.131, 0.640, 0.364], [0.306, 0.836, 0.974], [0.971, 0.792, 0.801], [0.488, 0.119, 0.636], [0.018, 0.187, 0.907], [0.512, 0.636, 0.864], [0.462, 0.154, 0.530], [0.847, 0.535, 0.741], [0.538, 0.694, 0.260], [0.689, 0.537, 0.240], [0.845, 0.302, 0.531], [0.819, 0.026, 0.801], [0.979, 0.182, 0.592], [0.976, 0.799, 0.095], [0.699, 0.155, 0.033], [0.359, 0.488, 0.077], [0.370, 0.867, 0.859], [0.310, 0.462, 0.758], [0.207, 0.028, 0.303], [0.161, 0.969, 0.906], [0.206, 0.029, 0.592], [0.203, 0.178, 0.095], [0.794, 0.972, 0.407], [0.638, 0.126, 0.425], [0.178, 0.205, 0.407], [0.824, 0.027, 0.094], [0.167, 0.464, 0.974], [0.127, 0.488, 0.572], [0.836, 0.815, 0.593], [0.354, 0.870, 0.572], [0.692, 0.155, 0.739], [0.873, 0.514, 0.137], [0.877, 0.362, 0.636], [0.497, 0.144, 0.928], [0.541, 0.843, 0.756], [0.157, 0.697, 0.755], [0.138, 0.500, 0.859], [0.486, 0.358, 0.137], [0.847, 0.547, 0.033], [0.486, 0.358, 0.424], [0.793, 0.820, 0.907], [0.543, 0.697, 0.970], [0.129, 0.644, 0.078], [0.461, 0.302, 0.743], [0.860, 0.365, 0.928], [0.798, 0.976, 0.697], [0.503, 0.647, 0.571], [0.176, 0.970, 0.198], [0.024, 0.820, 0.406], [0.820, 0.792, 0.302], [0.362, 0.491, 0.364], [0.848, 0.311, 0.240], [0.537, 0.844, 0.468], [0.710, 0.004, 0.749], [0.328, 0.374, 0.416], [0.953, 0.333, 0.585], [0.382, 0.336, 0.086], [0.381, 0.048, 0.585], [0.995, 0.707, 0.750], [0.293, 0.289, 0.749], [0.953, 0.619, 0.085], [0.621, 0.668, 0.916], [0.994, 0.285, 0.251], [0.291, 0.006, 0.251], [0.046, 0.671, 0.416], [0.665, 0.046, 0.085], [0.625, 0.955, 0.416], [0.715, 0.709, 0.251], [0.992, 0.992, 0.645], [0.340, 0.668, 0.525], [0.001, 0.001, 0.145], [0.325, 0.670, 0.812], [0.666, 0.327, 0.974], [0.334, 0.667, 0.309], [0.323, 0.663, 0.019], [0.670, 0.346, 0.480], [0.008, 0.008, 0.858], [0.663, 0.340, 0.690], [0.999, 0.999, 0.354], [0.666, 0.334, 0.188], [0.046, 0.379, 0.916], [0.332, 0.953, 0.916], [0.668, 0.618, 0.587]],
  "delta_e_f_ev_per_fu": -90.3,
  "spacegroup": "P1 (1)",
  "m_tot_mub_per_atom": 0.00,
  "energy_ev_per_cell": -750.3
}


Record 2
{
  "formula": "HfMg14SbO16",
  "functional": "PBE",
  "state": "optimized geometry",
  "lattice_angstrom": [[-4.535, 6.738, 2.669], [-2.391, -4.795, 8.042], [3.475, 1.561, 1.964]],
  "species": ["Mg", "Mg", "Mg", "Mg", "Mg", "Mg", "Mg", "Mg", "Mg", "Mg", "Mg", "Mg", "Mg", "Mg", "Hf", "Sb", "O", "O", "O", "O", "O", "O", "O", "O", "O", "O", "O", "O", "O", "O", "O", "O"],
  "fractional_positions": [[0.263, 0.000, 0.500], [0.500, 0.250, 0.500], [0.737, 0.000, 0.500], [0.740, 0.500, 0.500], [0.748, 0.242, 0.000], [0.252, 0.758, 0.000], [0.260, 0.500, 0.500], [0.500, 0.000, 0.000], [0.500, 0.750, 0.500], [0.000, 0.763, 0.500], [0.748, 0.758, 0.000], [0.000, 0.237, 0.500], [0.500, 0.500, 0.000], [0.252, 0.242, 0.000], [0.000, 0.500, 0.000], [0.000, 0.000, 0.000], [0.000, 0.000, 0.500], [0.500, 0.259, 0.000], [0.752, 0.757, 0.500], [0.000, 0.705, 0.000], [0.727, 0.000, 0.000], [0.254, 0.500, 0.000], [0.000, 0.500, 0.500], [0.746, 0.500, 0.000], [0.248, 0.243, 0.500], [0.273, 0.000, 0.000], [0.752, 0.243, 0.500], [0.500, 0.000, 0.500], [0.500, 0.741, 0.000], [0.500, 0.500, 0.500], [0.248, 0.757, 0.500], [0.000, 0.295, 0.000]],
  "delta_e_f_ev_per_fu": -87.0,
  "spacegroup": "Pmmm (47)",
  "m_tot_mub_per_atom": 0.01,
  "energy_ev_per_cell": -191.6
}


Record 3
{
  "formula": "HfMg6SbO8",
  "functional": "PBE",
  "state": "optimized geometry",
  "lattice_angstrom": [[-0.908, 1.210, 10.507], [-0.363, -4.279, 0.462], [4.288, -0.320, 0.407]],
  "species": ["Mg", "Mg", "Mg", "Mg", "Mg", "Mg", "Sb", "O", "O", "O", "O", "O", "O", "O", "O", "Hf"],
  "fractional_positions": [[0.500, 0.500, 0.500], [0.229, 0.000, 0.500], [0.229, 0.500, 0.000], [0.771, 0.500, 0.000], [0.771, 0.000, 0.500], [0.000, 0.500, 0.500], [0.000, 0.000, 0.000], [0.000, 0.000, 0.500], [0.500, 0.000, 0.500], [0.695, 0.000, 0.000], [0.209, 0.500, 0.500], [0.305, 0.000, 0.000], [0.500, 0.500, 0.000], [0.791, 0.500, 0.500], [0.000, 0.500, 0.000], [0.500, 0.000, 0.000]],
  "delta_e_f_ev_per_fu": -39.8,
  "spacegroup": "P4/mmm (123)",
  "m_tot_mub_per_atom": 0.00,
  "energy_ev_per_cell": -97.6
}


Record 4
{
  "formula": "HfMg6SbO8",
  "functional": "PBE",
  "state": "optimized geometry",
  "lattice_angstrom": [[-9.363, 1.986, 2.716], [-0.720, -4.253, 0.629], [1.286, 0.395, 4.146]],
  "species": ["Mg", "Mg", "Mg", "Mg", "Mg", "Mg", "O", "O", "O", "O", "O", "O", "O", "O", "Hf", "Sb"],
  "fractional_positions": [[0.500, 0.500, 0.500], [0.280, 0.500, 0.000], [0.280, 0.000, 0.500], [0.720, 0.500, 0.000], [0.500, 0.000, 0.000], [0.720, 0.000, 0.500], [0.500, 0.000, 0.500], [0.244, 0.500, 0.500], [0.500, 0.500, 0.000], [0.698, 0.000, 0.000], [0.000, 0.000, 0.500], [0.302, 0.000, 0.000], [0.756, 0.500, 0.500], [0.000, 0.500, 0.000], [0.000, 0.500, 0.500], [0.000, 0.000, 0.000]],
  "delta_e_f_ev_per_fu": -38.6,
  "spacegroup": "P4/mmm (123)",
  "m_tot_mub_per_atom": 0.05,
  "energy_ev_per_cell": -96.3
}


Record 5
{
  "formula": "HfMg14SbO16",
  "functional": "PBE",
  "state": "optimized geometry",
  "lattice_angstrom": [[-7.617, -3.456, 3.480], [2.254, -8.176, -3.186], [2.059, -0.857, 3.656]],
  "species": ["Mg", "Mg", "Mg", "Mg", "Mg", "Mg", "Mg", "Mg", "Mg", "Mg", "Mg", "Mg", "Mg", "Mg", "O", "O", "O", "O", "O", "O", "O", "O", "O", "O", "O", "O", "O", "O", "O", "O", "Sb", "Hf"],
  "fractional_positions": [[0.000, 0.258, 0.500], [0.000, 0.742, 0.500], [0.238, 0.762, 0.000], [0.500, 0.764, 0.500], [0.762, 0.762, 0.000], [0.762, 0.238, 0.000], [0.500, 0.236, 0.500], [0.000, 0.500, 0.000], [0.764, 0.500, 0.500], [0.258, 0.000, 0.500], [0.742, 0.000, 0.500], [0.236, 0.500, 0.500], [0.500, 0.000, 0.000], [0.238, 0.238, 0.000], [0.500, 0.500, 0.500], [0.732, 0.500, 0.000], [0.500, 0.000, 0.500], [0.500, 0.732, 0.000], [0.252, 0.748, 0.500], [0.000, 0.708, 0.000], [0.252, 0.252, 0.500], [0.748, 0.252, 0.500], [0.292, 0.000, 0.000], [0.000, 0.500, 0.500], [0.268, 0.500, 0.000], [0.000, 0.000, 0.500], [0.500, 0.268, 0.000], [0.000, 0.292, 0.000], [0.748, 0.748, 0.500], [0.708, 0.000, 0.000], [0.000, 0.000, 0.000], [0.500, 0.500, 0.000]],
  "delta_e_f_ev_per_fu": -86.7,
  "spacegroup": "P4/mmm (123)",
  "m_tot_mub_per_atom": 0.01,
  "energy_ev_per_cell": -191.4
}


Record 6
{
  "formula": "HfMg14SnO16",
  "functional": "PBE",
  "state": "optimized geometry",
  "lattice_angstrom": [[-1.076, -8.395, 2.332], [-1.008, -2.214, -8.436], [4.363, -0.656, -0.349]],
  "species": ["O", "O", "O", "O", "O", "O", "O", "O", "O", "O", "O", "O", "O", "O", "O", "O", "Mg", "Mg", "Mg", "Mg", "Mg", "Mg", "Mg", "Mg", "Mg", "Mg", "Mg", "Mg", "Mg", "Mg", "Hf", "Sn"],
  "fractional_positions": [[0.500, 0.500, 0.500], [0.750, 0.500, 0.000], [0.727, 0.000, 0.000], [0.273, 0.000, 0.000], [0.250, 0.500, 0.000], [0.249, 0.751, 0.500], [0.751, 0.249, 0.500], [0.000, 0.500, 0.500], [0.500, 0.250, 0.000], [0.000, 0.273, 0.000], [0.249, 0.249, 0.500], [0.000, 0.000, 0.500], [0.500, 0.750, 0.000], [0.751, 0.751, 0.500], [0.000, 0.727, 0.000], [0.500, 0.000, 0.500], [0.000, 0.500, 0.000], [0.245, 0.500, 0.500], [0.249, 0.751, 0.000], [0.751, 0.249, 0.000], [0.000, 0.742, 0.500], [0.500, 0.245, 0.500], [0.258, 0.000, 0.500], [0.742, 0.000, 0.500], [0.500, 0.000, 0.000], [0.751, 0.751, 0.000], [0.755, 0.500, 0.500], [0.000, 0.258, 0.500], [0.249, 0.249, 0.000], [0.500, 0.755, 0.500], [0.500, 0.500, 0.000], [0.000, 0.000, 0.000]],
  "delta_e_f_ev_per_fu": -87.9,
  "spacegroup": "P4/mmm (123)",
  "m_tot_mub_per_atom": 0.04,
  "energy_ev_per_cell": -192.4
}


Record 7
{
  "formula": "HfMg14SnO16",
  "functional": "PBE",
  "state": "optimized geometry",
  "lattice_angstrom": [[8.800, 0.000, 0.000], [0.000, 8.849, 0.000], [0.000, 0.000, 4.418]],
  "species": ["O", "O", "O", "O", "O", "O", "O", "O", "O", "O", "O", "O", "O", "O", "O", "O", "Mg", "Mg", "Mg", "Mg", "Mg", "Mg", "Mg", "Mg", "Mg", "Mg", "Mg", "Mg", "Mg", "Mg", "Sn", "Hf"],
  "fractional_positions": [[0.751, 0.752, 0.500], [0.000, 0.000, 0.500], [0.249, 0.752, 0.500], [0.000, 0.734, 0.000], [0.751, 0.248, 0.500], [0.000, 0.266, 0.000], [0.255, 0.500, 0.000], [0.275, 0.000, 0.000], [0.500, 0.500, 0.500], [0.000, 0.500, 0.500], [0.249, 0.248, 0.500], [0.745, 0.500, 0.000], [0.500, 0.000, 0.500], [0.725, 0.000, 0.000], [0.500, 0.745, 0.000], [0.500, 0.255, 0.000], [0.500, 0.500, 0.000], [0.739, 0.752, 0.000], [0.000, 0.750, 0.500], [0.000, 0.250, 0.500], [0.500, 0.250, 0.500], [0.258, 0.500, 0.500], [0.261, 0.248, 0.000], [0.742, 0.500, 0.500], [0.739, 0.248, 0.000], [0.500, 0.000, 0.000], [0.261, 0.000, 0.500], [0.500, 0.750, 0.500], [0.739, 0.000, 0.500], [0.261, 0.752, 0.000], [0.000, 0.000, 0.000], [0.000, 0.500, 0.000]],
  "delta_e_f_ev_per_fu": -87.8,
  "spacegroup": "Pmmm (47)",
  "m_tot_mub_per_atom": 0.04,
  "energy_ev_per_cell": -192.3
}


Record 8
{
  "formula": "SrHfMg14O16",
  "functional": "PBE",
  "state": "optimized geometry",
  "lattice_angstrom": [[-0.335, -4.067, -7.765], [8.174, 2.662, -1.746], [1.607, -3.706, 1.872]],
  "species": ["Mg", "Mg", "Mg", "Mg", "Mg", "Mg", "Mg", "Mg", "Mg", "Mg", "Mg", "Mg", "Mg", "Mg", "O", "O", "O", "O", "O", "O", "O", "O", "O", "O", "O", "O", "O", "O", "O", "O", "Sr", "Hf"],
  "fractional_positions": [[0.258, 0.000, 0.500], [0.742, 0.000, 0.500], [0.250, 0.250, 0.000], [0.000, 0.500, 0.000], [0.000, 0.258, 0.500], [0.750, 0.250, 0.000], [0.500, 0.245, 0.500], [0.500, 0.755, 0.500], [0.000, 0.742, 0.500], [0.245, 0.500, 0.500], [0.750, 0.750, 0.000], [0.755, 0.500, 0.500], [0.250, 0.750, 0.000], [0.500, 0.000, 0.000], [0.250, 0.500, 0.000], [0.500, 0.000, 0.500], [0.250, 0.750, 0.500], [0.000, 0.500, 0.500], [0.500, 0.250, 0.000], [0.000, 0.000, 0.500], [0.000, 0.271, 0.000], [0.750, 0.750, 0.500], [0.750, 0.250, 0.500], [0.750, 0.500, 0.000], [0.500, 0.500, 0.500], [0.271, 0.000, 0.000], [0.250, 0.250, 0.500], [0.729, 0.000, 0.000], [0.000, 0.729, 0.000], [0.500, 0.750, 0.000], [0.000, 0.000, 0.000], [0.500, 0.500, 0.000]],
  "delta_e_f_ev_per_fu": -91.6,
  "spacegroup": "P4/mmm (123)",
  "m_tot_mub_per_atom": 0.04,
  "energy_ev_per_cell": -193.8
}


Record 9
{
  "formula": "SrHfMg30O32",
  "functional": "PBE",
  "state": "optimized geometry",
  "lattice_angstrom": [[-0.980, -8.220, -2.615], [8.611, -0.779, -0.780], [0.503, -2.678, 8.230]],
  "species": ["Mg", "Mg", "Mg", "Mg", "Mg", "Mg", "Mg", "Mg", "Mg", "Mg", "Mg", "Mg", "Mg", "Mg", "Mg", "Mg", "Mg", "Mg", "Mg", "Mg", "Mg", "Mg", "Mg", "Mg", "Mg", "Mg", "Mg", "Mg", "Mg", "Mg", "O", "O", "O", "O", "O", "O", "O", "O", "O", "O", "O", "O", "O", "O", "O", "O", "O", "O", "O", "O", "O", "O", "O", "O", "O", "O", "O", "O", "O", "O", "O", "O", "Sr", "Hf"],
  "fractional_positions": [[0.746, 0.254, 0.500], [0.500, 0.252, 0.250], [0.000, 0.500, 0.500], [0.500, 0.748, 0.250], [0.500, 0.000, 0.000], [0.262, 0.000, 0.750], [0.262, 0.000, 0.250], [0.000, 0.262, 0.250], [0.254, 0.746, 0.500], [0.738, 0.000, 0.750], [0.744, 0.744, 0.000], [0.000, 0.738, 0.250], [0.252, 0.500, 0.750], [0.000, 0.738, 0.750], [0.748, 0.500, 0.250], [0.254, 0.254, 0.500], [0.746, 0.746, 0.500], [0.500, 0.500, 0.000], [0.500, 0.500, 0.500], [0.256, 0.256, 0.000], [0.000, 0.262, 0.750], [0.744, 0.256, 0.000], [0.252, 0.500, 0.250], [0.748, 0.500, 0.750], [0.738, 0.000, 0.250], [0.500, 0.748, 0.750], [0.500, 0.000, 0.500], [0.000, 0.500, 0.000], [0.256, 0.744, 0.000], [0.500, 0.252, 0.750], [0.500, 0.000, 0.253], [0.000, 0.500, 0.747], [0.252, 0.500, 0.500], [0.249, 0.249, 0.751], [0.751, 0.751, 0.751], [0.000, 0.741, 0.500], [0.500, 0.252, 0.500], [0.000, 0.500, 0.253], [0.746, 0.500, 0.000], [0.270, 0.000, 0.000], [0.259, 0.000, 0.500], [0.500, 0.000, 0.747], [0.000, 0.270, 0.000], [0.000, 0.259, 0.500], [0.500, 0.748, 0.500], [0.751, 0.249, 0.249], [0.500, 0.500, 0.251], [0.730, 0.000, 0.000], [0.741, 0.000, 0.500], [0.500, 0.746, 0.000], [0.000, 0.730, 0.000], [0.748, 0.500, 0.500], [0.751, 0.249, 0.751], [0.249, 0.249, 0.249], [0.751, 0.751, 0.249], [0.000, 0.000, 0.733], [0.249, 0.751, 0.751], [0.500, 0.254, 0.000], [0.254, 0.500, 0.000], [0.249, 0.751, 0.249], [0.500, 0.500, 0.749], [0.000, 0.000, 0.267], [0.000, 0.000, 0.000], [0.000, 0.000, 0.500]],
  "delta_e_f_ev_per_fu": -189.4,
  "spacegroup": "P4/mmm (123)",
  "m_tot_mub_per_atom": 0.01,
  "energy_ev_per_cell": -385.4
}